VASP calculation (GGA-PBE) on NaNb6O16 after structural relaxation.

Calculated values
Spin magnetization in μB per formula unit: 0.04
DFT formation energy in eV/atom: -2.891

Cell lengths 3.9315, 10.5263, 15.0723 Å; angles 90.00, 90.00, 90.00 degrees
Space group Amm2 (No. 38)
Symmetry-distinct sites (fractional):
Na  0.0000  0.0000  0.0000 x2
Nb  0.5000  0.0000  0.5938 x2
Nb  0.5000  0.0000  0.8081 x2
Nb  0.5000  0.1799  0.1579 x4
Nb  0.5000  0.1860  0.4108 x4
O  0.0000  0.0000  0.5941 x2
O  0.0000  0.0000  0.8205 x2
O  0.0000  0.1771  0.1416 x4
O  0.0000  0.1776  0.4071 x4
O  0.5000  0.0000  0.1134 x2
O  0.5000  0.0000  0.4566 x2
O  0.5000  0.1224  0.7068 x4
O  0.5000  0.1321  0.9074 x4
O  0.5000  0.1491  0.2817 x4
O  0.5000  0.1948  0.5508 x4

---

VASP calculation (GGA-PBE) on NaH18C9IN3O3 after structural relaxation.

Calculated values
Spin magnetization in μB per formula unit: 2.00
DFT formation energy in eV/atom: 0.041

Cell lengths 9.0796, 11.6415, 11.8368 Å; angles 61.06, 87.67, 88.06 degrees
Space group P1 (No. 1)
Symmetry-distinct sites (fractional):
Na  0.0000  0.0000  0.0000 x1
Na  0.3926  0.0005  0.0021 x1
H  0.0910  0.8728  0.5076 x1
H  0.0922  0.7364  0.3892 x1
H  0.0936  0.5764  0.8663 x1
H  0.1187  0.5297  0.6008 x1
H  0.1852  0.2221  0.6126 x1
H  0.1891  0.0248  0.4292 x1
H  0.1904  0.1196  0.2220 x1
H  0.1897  0.5077  0.0154 x1
H  0.1925  0.6189  0.1114 x1
H  0.1929  0.8008  0.2382 x1
H  0.2884  0.7332  0.3869 x1
H  0.2878  0.8707  0.5035 x1
H  0.2915  0.5734  0.8642 x1
H  0.3230  0.5081  0.5880 x1
H  0.4785  0.6299  0.2144 x1
H  0.4839  0.1837  0.1166 x1
H  0.5427  0.3790  0.2706 x1
H  0.5640  0.3758  0.3325 x1
H  0.5724  0.5864  0.2502 x1
H  0.5896  0.1331  0.5869 x1
H  0.5919  0.1728  0.3668 x1
H  0.6205  0.2877  0.1205 x1
H  0.6609  0.1903  0.0437 x1
H  0.6883  0.7398  0.1730 x1
H  0.6917  0.3726  0.7417 x1
H  0.6941  0.7351  0.8622 x1
H  0.7256  0.8931  0.3594 x1
H  0.7898  0.1166  0.3813 x1
H  0.7939  0.1333  0.5816 x1
H  0.8124  0.5869  0.2457 x1
H  0.8157  0.3697  0.3315 x1
H  0.8369  0.3691  0.2697 x1
H  0.8578  0.2789  0.0958 x1
H  0.9021  0.6241  0.2126 x1
H  0.9293  0.2449  0.1229 x1
H  0.9475  0.4895  0.5256 x1
C  0.1842  0.2131  0.7106 x1
C  0.1884  0.8255  0.7924 x1
C  0.1894  0.7185  0.0251 x1
C  0.1894  0.9219  0.4494 x1
C  0.1910  0.0284  0.2149 x1
C  0.1914  0.5841  0.9132 x1
C  0.1911  0.7895  0.3356 x1
C  0.2183  0.4710  0.6413 x1
C  0.2211  0.3796  0.7900 x1
C  0.6023  0.1931  0.1257 x1
C  0.6792  0.1177  0.3483 x1
C  0.6873  0.3365  0.5191 x1
C  0.6873  0.6376  0.1900 x1
C  0.6905  0.1823  0.5834 x1
C  0.6909  0.7546  0.9451 x1
C  0.6922  0.2693  0.7601 x1
C  0.6924  0.5211  0.0646 x1
C  0.6936  0.9678  0.2610 x1
I  0.1922  0.3406  0.3248 x1
I  0.6993  0.6455  0.6536 x1
N  0.1897  0.7167  0.9044 x1
N  0.1905  0.9186  0.3279 x1
N  0.2002  0.3313  0.7111 x1
N  0.6587  0.0878  0.2488 x1
N  0.6880  0.2630  0.6450 x1
N  0.6925  0.6328  0.0680 x1
O  0.1719  0.1096  0.8130 x1
O  0.1859  0.8204  0.0318 x1
O  0.1920  0.0313  0.1063 x1
O  0.6837  0.8618  0.9396 x1
O  0.6859  0.9421  0.1702 x1
O  0.6963  0.1693  0.8650 x1

---

VASP calculation (GGA-PBE) on K6BiH3Cl8F4 after structural relaxation.

Calculated values
Spin magnetization in μB per formula unit: 0.00
DFT formation energy in eV/atom: -1.893

Cell lengths 9.2526, 9.2526, 14.6680 Å; angles 90.00, 90.00, 120.00 degrees
Space group P6_3/mmc (No. 194)
Symmetry-distinct sites (fractional):
K  0.0000  0.5000  0.0000 x6
K  0.1789  0.3578  0.2500 x6
Bi  0.0000  0.0000  0.0000 x2
H  0.1566  0.5783  0.7500 x6
Cl  0.1399  0.2798  0.6074 x12
Cl  0.3333  0.6667  0.1065 x4
F  0.0312  0.5156  0.7500 x6
F  0.3333  0.6667  0.7500 x2

---

VASP calculation (GGA-PBE) on K3Zn2Cl7 after structural relaxation.

Calculated values
Spin magnetization in μB per formula unit: 0.00
DFT formation energy in eV/atom: -1.921

Cell lengths 7.0630, 10.9387, 11.0439 Å; angles 118.52, 107.53, 90.61 degrees
Space group P-1 (No. 2)
Symmetry-distinct sites (fractional):
K  0.0924  0.3123  0.2213 x2
K  0.1311  0.9105  0.2858 x2
K  0.3882  0.4081  0.7831 x2
Zn  0.3587  0.7711  0.5648 x2
Zn  0.4957  0.1627  0.9935 x2
Cl  0.1351  0.6402  0.3277 x2
Cl  0.2524  0.3055  0.9834 x2
Cl  0.2740  0.0035  0.0108 x2
Cl  0.2777  0.6969  0.0287 x2
Cl  0.3071  0.9999  0.6566 x2
Cl  0.3213  0.2308  0.4494 x2
Cl  0.3313  0.6701  0.7011 x2

---

spin magnetization of number 3 (K6BiH3Cl8F4)? 0.00 μB per formula unit

---

What is the formula in the second record? NaH18C9IN3O3

---

The lowest DFT formation energy belongs to which entry? NaNb6O16

---

Which value of spin magnetization does entry 1 give? 0.04 μB per formula unit